The following is a PBE-GGA calculation of a geometry-optimized Hf2CuRh structure, from the Materials Project.

CIF file:
```
data_Hf2CuRh
_symmetry_space_group_name_H-M 'F m -3 m'
_symmetry_Int_Tables_number 225
_symmetry_space_group_name_Hall '-F 4 2 3'
_cell_length_a 6.5226
_cell_length_b 6.5226
_cell_length_c 6.5226
_cell_angle_alpha 90.00
_cell_angle_beta 90.00
_cell_angle_gamma 90.00
loop_
_atom_site_label
_atom_site_type_symbol
_atom_site_fract_x
_atom_site_fract_y
_atom_site_fract_z
Hf1 Hf 0.2500 0.2500 0.2500
Cu1 Cu 0.0000 0.0000 0.0000
Rh1 Rh 0.0000 0.0000 0.5000
```

Computed properties:
crystal system = cubic
uncorrected energy = -8.3257 eV/atom
formation energy = -0.48 eV per atom